Record 1
Density functional theory data (GGA-PBE) for Au3Br after structural relaxation.

Calculated values
- offset from the most stable computed form (meV/atom) = 0
- total magnetization (μB/f.u.) = 0.00
- ΔE_f (kJ/mol of formula units) = 66

POSCAR file:
```
Au3Br
1.0
6.764 0.000 0.000
-3.382 5.858 0.000
0.000 0.000 4.483
Au Br
6 2
direct
0.145 0.291 0.250
0.145 0.855 0.250
0.291 0.145 0.750
0.709 0.855 0.250
0.855 0.145 0.750
0.855 0.709 0.750
0.333 0.667 0.750
0.667 0.333 0.250
```

***

Record 2
Density functional theory data (GGA-PBE) for Au3Br after structural relaxation.

Calculated values
- offset from the most stable computed form (meV/atom) = 51
- total magnetization (μB/f.u.) = 0.00
- ΔE_f (kJ/mol of formula units) = 86

POSCAR file:
```
Au3Br
1.0
-2.102 2.102 4.484
2.102 -2.102 4.484
2.102 2.102 -4.484
Au Br
3 1
direct
0.000 0.000 0.000
0.250 0.750 0.500
0.750 0.250 0.500
0.500 0.500 0.000
```

***

Record 3
Density functional theory data (GGA-PBE) for AuBr2 after structural relaxation.

Calculated values
- total magnetization (μB/f.u.) = 0.00
- ΔE_f (kJ/mol of formula units) = -98

POSCAR file:
```
AuBr2
1.0
4.654 0.000 0.000
0.000 4.654 0.000
0.000 0.000 10.824
Au Br
2 4
direct
0.000 0.000 0.250
0.000 0.000 0.750
0.000 0.500 0.146
0.000 0.500 0.854
0.500 0.000 0.354
0.500 0.000 0.646
```

***

Record 4
Density functional theory data (GGA-PBE) for AuC2S2BrN4 after structural relaxation.

Calculated values
- total magnetization (μB/f.u.) = 2.67
- ΔE_f (kJ/mol of formula units) = 535

POSCAR file:
```
AuC2S2BrN4
1.0
4.961 -8.919 0.000
4.961 8.919 0.000
-1.615 0.000 5.431
Au C S Br N
2 4 4 2 8
direct
0.000 0.000 0.000
0.000 0.000 0.500
0.159 0.474 0.849
0.474 0.159 0.349
0.526 0.841 0.651
0.841 0.526 0.151
0.115 0.862 0.920
0.138 0.885 0.580
0.862 0.115 0.420
0.885 0.138 0.080
0.423 0.577 0.250
0.577 0.423 0.750
0.076 0.515 0.762
0.241 0.423 0.935
0.423 0.241 0.435
0.485 0.924 0.738
0.515 0.076 0.262
0.577 0.759 0.565
0.759 0.577 0.065
0.924 0.485 0.238
```

***

Record 5
Density functional theory data (GGA-PBE) for CoAuBr6N6 after structural relaxation.

Calculated values
- total magnetization (μB/f.u.) = 0.28
- ΔE_f (kJ/mol of formula units) = 338

POSCAR file:
```
CoAuBr6N6
1.0
10.919 0.000 0.000
0.000 6.218 0.000
-10.905 0.000 13.385
Co Au Br N
2 2 12 12
direct
0.000 0.000 0.000
0.000 0.500 0.500
0.500 0.000 0.500
0.500 0.500 0.000
0.142 0.038 0.636
0.142 0.462 0.136
0.248 0.181 0.366
0.248 0.319 0.866
0.336 0.669 0.407
0.336 0.831 0.907
0.664 0.169 0.093
0.664 0.331 0.593
0.752 0.681 0.134
0.752 0.819 0.634
0.858 0.538 0.864
0.858 0.962 0.364
0.046 0.237 0.056
0.046 0.263 0.556
0.329 0.014 0.098
0.329 0.486 0.598
0.341 0.587 0.656
0.341 0.913 0.156
0.659 0.087 0.844
0.659 0.413 0.344
0.671 0.514 0.402
0.671 0.986 0.902
0.954 0.737 0.444
0.954 0.763 0.944
```

***

Record 6
Density functional theory data (GGA-PBE) for Cs3AuBr6 after structural relaxation.

Calculated values
- total magnetization (μB/f.u.) = 2.00
- ΔE_f (kJ/mol of formula units) = -1320

POSCAR file:
```
Cs3AuBr6
1.0
0.000 6.012 6.012
6.012 0.000 6.012
6.012 6.012 0.000
Cs Au Br
3 1 6
direct
0.000 0.000 0.000
0.250 0.250 0.250
0.750 0.750 0.750
0.500 0.500 0.500
0.278 0.278 0.722
0.278 0.722 0.278
0.278 0.722 0.722
0.722 0.278 0.278
0.722 0.278 0.722
0.722 0.722 0.278
```

***

Record 7
Density functional theory data (GGA-PBE) for CsAuBr3 after structural relaxation.

Calculated values
- ΔE_f (kJ/mol of formula units) = -589

POSCAR file:
```
CsAuBr3
1.0
-3.964 3.964 5.865
3.964 -3.964 5.865
3.964 3.964 -5.865
Cs Au Br
2 2 6
direct
0.250 0.750 0.500
0.750 0.250 0.500
0.000 0.000 0.000
0.500 0.500 0.000
0.210 0.210 0.000
0.275 0.275 0.551
0.275 0.725 0.000
0.725 0.275 0.000
0.725 0.725 0.449
0.790 0.790 0.000
```

***

Record 8
Density functional theory data (GGA-PBE) for CsAuBr3 after structural relaxation.

Calculated values
- total magnetization (μB/f.u.) = 0.00
- ΔE_f (kJ/mol of formula units) = -564

POSCAR file:
```
CsAuBr3
1.0
5.473 0.000 0.000
0.000 5.473 0.000
0.000 0.000 5.473
Cs Au Br
1 1 3
direct
0.000 0.000 0.000
0.500 0.500 0.500
0.000 0.500 0.500
0.500 0.000 0.500
0.500 0.500 0.000
```

***

> Which of these has the lowest ΔE_f?

Cs3AuBr6